No. 1
A plane-wave DFT calculation with PBE-GGA was carried out for a relaxed structure of NaSb5O8.

abc: 7.376 7.536 9.839
angles: 105.36 106.07 86.36
Positions (direct):
Na 0.256 0.561 0.967
Na 0.744 0.439 0.033
Sb 0.537 0.821 0.277
Sb 0.463 0.179 0.723
Sb 0.743 0.945 0.030
Sb 0.257 0.055 0.970
Sb 0.537 0.401 0.334
Sb 0.463 0.599 0.666
Sb 0.102 0.762 0.329
Sb 0.898 0.238 0.671
Sb 0.978 0.689 0.661
Sb 0.022 0.311 0.339
O 0.061 0.490 0.230
O 0.939 0.510 0.770
O 0.822 0.457 0.426
O 0.178 0.543 0.574
O 0.809 0.197 0.161
O 0.191 0.803 0.839
O 0.854 0.811 0.196
O 0.146 0.189 0.804
O 0.540 0.554 0.182
O 0.460 0.446 0.818
O 0.451 0.642 0.442
O 0.549 0.358 0.558
O 0.753 0.184 0.798
O 0.247 0.816 0.202
O 0.494 0.102 0.916
O 0.506 0.898 0.084



No. 2
A plane-wave DFT calculation with PBE-GGA was carried out for a relaxed structure of NaSbO3.

abc: 5.476 5.536 7.797
angles: 90.00 90.00 90.00
Positions (direct):
Na 0.507 0.538 0.250
Na 0.007 0.962 0.750
Na 0.993 0.038 0.250
Na 0.493 0.462 0.750
Sb 0.000 0.500 0.000
Sb 0.500 0.000 0.000
Sb 0.500 0.000 0.500
Sb 0.000 0.500 0.500
O 0.702 0.295 0.454
O 0.202 0.205 0.546
O 0.798 0.795 0.046
O 0.298 0.705 0.954
O 0.298 0.705 0.546
O 0.798 0.795 0.454
O 0.202 0.205 0.954
O 0.702 0.295 0.046
O 0.411 0.975 0.250
O 0.911 0.525 0.750
O 0.089 0.475 0.250
O 0.589 0.025 0.750



No. 3
A plane-wave DFT calculation with PBE-GGA was carried out for a relaxed structure of NaSb5O13.

abc: 5.622 5.622 16.783
angles: 90.00 90.00 107.09
Positions (direct):
Na 0.898 0.151 0.750
Na 0.151 0.898 0.250
Sb 0.386 0.615 0.080
Sb 0.615 0.386 0.920
Sb 0.000 0.000 0.000
Sb 0.386 0.615 0.420
Sb 0.615 0.386 0.580
Sb 0.000 0.000 0.500
Sb 0.769 0.233 0.361
Sb 0.769 0.233 0.139
Sb 0.233 0.769 0.861
Sb 0.233 0.769 0.639
O 0.530 0.069 0.864
O 0.069 0.530 0.364
O 0.069 0.530 0.136
O 0.530 0.069 0.636
O 0.311 0.311 0.000
O 0.311 0.311 0.500
O 0.014 0.987 0.615
O 0.171 0.829 0.750
O 0.226 0.774 0.990
O 0.226 0.774 0.510
O 0.446 0.553 0.654
O 0.553 0.446 0.154
O 0.774 0.226 0.490
O 0.987 0.014 0.385
O 0.553 0.446 0.346
O 0.987 0.014 0.115
O 0.829 0.171 0.250
O 0.774 0.226 0.010
O 0.014 0.987 0.885
O 0.446 0.553 0.846
O 0.689 0.689 0.500
O 0.689 0.689 0.000
O 0.471 0.932 0.364
O 0.932 0.471 0.636
O 0.932 0.471 0.864
O 0.471 0.932 0.136



| no. | formation energy from the elements (meV per atom) |
| --- | --- |
| 1 | -1800 |
| 2 | -1969 |
| 3 | -1875 |